# NpTeAs GGA-PBE relaxed
# ΔH_f (0 K) (eV per atom): -0.65
# Raw total energy (eV per atom): -7.57
data_NpTeAs
_chemical_formula_sum 'Np2 Te2 As2'
_space_group_name_H-M_alt 'P 4/n m m'
_space_group_IT_number 129
_cell_length_a 4.1242
_cell_length_b 4.1242
_cell_length_c 8.8459
_cell_angle_alpha 90.00
_cell_angle_beta 90.00
_cell_angle_gamma 90.00
loop_
_space_group_symop_operation_xyz
'x,y,z'
'-x,-y,-z'
'-y+1/2,x,z'
'y+1/2,-x,-z'
'-x+1/2,-y+1/2,z'
'x+1/2,y+1/2,-z'
'y,-x+1/2,z'
'-y,x+1/2,-z'
'x+1/2,-y,-z'
'-x+1/2,y,z'
'-y,-x,-z'
'y,x,z'
'-x,y+1/2,-z'
'x,-y+1/2,z'
'y+1/2,x+1/2,-z'
'-y+1/2,-x+1/2,z'
loop_
_atom_site_label
_atom_site_type_symbol
_atom_site_fract_x
_atom_site_fract_y
_atom_site_fract_z
Np1 Np 0.2500 0.2500 0.2499
Te1 Te 0.2500 0.2500 0.6318
As1 As 0.2500 0.7500 0.0000